First-principles (GGA-PBE) data for a geometry-optimized KCa2Ta3O10 structure, as listed in the Materials Project database.

abc: 3.9409 15.2573 15.2573
angles: 14.86 90.00 90.00
Last column: nearest neighbours and their distance in Å.
Atoms (fractional coordinates):
K 0.0000 0.0000 0.0000  2 O 2.64
Ca 0.0000 0.1662 0.1662  8 O 2.54-2.80
Ca 0.0000 0.3181 0.3181  4 O 2.50
Ta 0.5000 0.5999 0.5999  5 O 1.80-2.01
Ta 0.5000 0.7416 0.7416  6 O 1.96-1.98
Ta 0.5000 0.8831 0.8831  1 O 1.79
O 0.0000 0.6134 0.6134  2 Ta 2.01
O 0.0000 0.7410 0.7410  2 Ta 1.97
O 0.0000 0.8690 0.8690  2 Ta 2.02
O 0.5000 0.1134 0.1134  2 Ta 2.01
O 0.5000 0.2410 0.2410  2 Ta 1.97
O 0.5000 0.3688 0.3688  2 Ta 2.02
O 0.5000 0.5403 0.5403  1 Ta 1.80
O 0.5000 0.6760 0.6760  1 Ta 1.98
O 0.5000 0.8064 0.8064  1 Ta 1.96
O 0.5000 0.9421 0.9421  1 Ta 1.79

Computed properties:
E (MP2020) ... -8.954 eV/atom
Formation energy ... -3318 meV per atom
DFT total energy ... -8.525 eV per atom
Theoretical density ... 5.80 g/cm³



First-principles (GGA-PBE) data for a geometry-optimized CaLa structure, as listed in the Materials Project database.

abc: 3.7770 3.7770 6.3000
angles: 90.00 90.00 120.00
Last column: nearest neighbours and their distance in Å.
Atoms (fractional coordinates):
Ca 0.0000 0.0000 0.0000  6 Ca 3.78, 6 La 3.83
La 0.6667 0.3333 0.5000  6 La 3.78, 6 Ca 3.83

Computed properties:
Formation energy ... 76 meV per atom
DFT total energy ... -3.395 eV per atom
Theoretical density ... 3.82 g/cm³



First-principles (GGA-PBE) data for a geometry-optimized CaLaMg6 structure, as listed in the Materials Project database.

abc: 5.3643 6.9191 11.8057
angles: 90.00 90.00 90.00
Last column: nearest neighbours and their distance in Å.
Atoms (fractional coordinates):
Mg 0.5000 0.2496 0.5830  2 Ca 3.31, 8 Mg 3.33-3.47, 2 La 3.33-3.51
Mg 0.0000 0.2464 0.9163  8 Mg 3.32-3.51, 2 Ca 3.32-3.52, 2 La 3.32
Mg 0.5000 0.7504 0.5830  2 Ca 3.31, 8 Mg 3.33-3.47, 2 La 3.33-3.51
Mg 0.0000 0.7536 0.9163  8 Mg 3.32-3.51, 2 Ca 3.32-3.52, 2 La 3.32
Mg 0.0000 0.0000 0.6656  10 Mg 3.34-3.43, 2 Ca 3.46
Mg 0.5000 0.7496 0.0830  2 Ca 3.31, 8 Mg 3.33-3.47, 2 La 3.33-3.51
Mg 0.0000 0.5000 0.1656  10 Mg 3.34-3.43, 2 Ca 3.46
Mg 0.5000 0.5000 0.3362  10 Mg 3.32-3.45, 2 La 3.46
Mg 0.5000 0.0000 0.8362  10 Mg 3.32-3.45, 2 La 3.46
Mg 0.0000 0.2536 0.4163  8 Mg 3.32-3.51, 2 Ca 3.32-3.52, 2 La 3.32
Mg 0.5000 0.2504 0.0830  2 Ca 3.31, 8 Mg 3.33-3.47, 2 La 3.33-3.51
Ca 0.0000 0.5000 0.6577  10 Mg 3.31-3.52, 2 La 3.45
Ca 0.0000 0.0000 0.1577  10 Mg 3.31-3.52, 2 La 3.45
Mg 0.0000 0.7464 0.4163  8 Mg 3.32-3.51, 2 Ca 3.32-3.52, 2 La 3.32
La 0.5000 0.0000 0.3419  10 Mg 3.32-3.51, 2 Ca 3.45
La 0.5000 0.5000 0.8419  10 Mg 3.32-3.51, 2 Ca 3.45

Computed properties:
Formation energy ... 26 meV per atom
DFT total energy ... -2.042 eV per atom
Theoretical density ... 2.46 g/cm³



First-principles (GGA-PBE) data for a geometry-optimized CaLaMg14 structure, as listed in the Materials Project database.

abc: 6.7193 6.7193 10.4342
angles: 90.00 90.00 120.00
Last column: nearest neighbours and their distance in Å.
Atoms (fractional coordinates):
Ca 0.0000 0.0000 0.0000  12 Mg 3.28-3.36
La 0.0000 0.0000 0.5000  12 Mg 3.29-3.36
Mg 0.0045 0.5023 0.0000  10 Mg 3.22-3.41, 2 Ca 3.36
Mg 0.0069 0.5035 0.5000  10 Mg 3.23-3.43, 2 La 3.36
Mg 0.1715 0.3431 0.2491  10 Mg 3.22-3.46, 1 Ca 3.28, 1 La 3.29
Mg 0.1715 0.3431 0.7509  10 Mg 3.22-3.46, 1 Ca 3.28, 1 La 3.29
Mg 0.1715 0.8285 0.2491  10 Mg 3.22-3.46, 1 Ca 3.28, 1 La 3.29
Mg 0.1715 0.8285 0.7509  10 Mg 3.22-3.46, 1 Ca 3.28, 1 La 3.29
Mg 0.4965 0.5035 0.5000  10 Mg 3.23-3.43, 2 La 3.36
Mg 0.4965 0.9931 0.5000  10 Mg 3.23-3.43, 2 La 3.36
Mg 0.4977 0.5023 0.0000  10 Mg 3.22-3.41, 2 Ca 3.36
Mg 0.4977 0.9955 0.0000  10 Mg 3.22-3.41, 2 Ca 3.36
Mg 0.6569 0.8285 0.2491  10 Mg 3.22-3.46, 1 Ca 3.28, 1 La 3.29
Mg 0.6569 0.8285 0.7509  10 Mg 3.22-3.46, 1 Ca 3.28, 1 La 3.29
Mg 0.6667 0.3333 0.2515  12 Mg 3.26-3.36
Mg 0.6667 0.3333 0.7485  12 Mg 3.26-3.36

Computed properties:
Formation energy ... 12 meV per atom
DFT total energy ... -1.822 eV per atom
Theoretical density ... 2.11 g/cm³



Q: What is the theoretical density in the first record?
A: 5.80 g/cm³



Q: Number 1 is which compound?
A: KCa2Ta3O10



Q: Which formula does entry 2 have?
A: CaLa



What did the second record say?
First-principles (GGA-PBE) data for a geometry-optimized CaLa structure, as listed in the Materials Project database.

abc: 3.7770 3.7770 6.3000
angles: 90.00 90.00 120.00
Last column: nearest neighbours and their distance in Å.
Atoms (fractional coordinates):
Ca 0.0000 0.0000 0.0000  6 Ca 3.78, 6 La 3.83
La 0.6667 0.3333 0.5000  6 La 3.78, 6 Ca 3.83

Computed properties:
Formation energy ... 76 meV per atom
DFT total energy ... -3.395 eV per atom
Theoretical density ... 3.82 g/cm³